Entry from the Materials Project: a relaxed K2CdAs2 crystal (GGA-PBE).

Properties
The total energy is -2.13 eV per atom. As for the total moment: 0.00 μB per formula unit. As for the space-group type: No. 123.

POSCAR file:
```
K2CdAs2
1.0
3.5526 0.0000 0.0000
0.0000 3.5526 0.0000
0.0000 0.0000 15.2342
K Cd As
2 1 2
Direct
0.0000 0.0000 0.1354
0.0000 0.0000 0.8646
0.0000 0.0000 0.5000
0.0000 0.0000 0.3353
0.0000 0.0000 0.6647
```